[1]
# Ca5P12Ir19

Ca5P12Ir19 after structural relaxation (r²SCAN, the Materials Project).

Cell lengths 12.6066, 12.6066, 3.9756 Å; angles 90.00, 90.00, 120.00 degrees
Space group P-62m (No. 189)
Inequivalent atoms, fractional coordinates:
Ca1 0.0000 0.1823 0.0000 (multiplicity 3)
Ca2 0.3333 0.6667 0.5000 (multiplicity 2)
P1 0.0000 0.3578 0.5000 (multiplicity 3)
P2 0.0000 0.8195 0.5000 (multiplicity 3)
P3 0.1731 0.6891 0.0000 (multiplicity 6)
Ir1 0.0000 0.0000 0.5000 (multiplicity 1)
Ir2 0.0000 0.5380 0.5000 (multiplicity 3)
Ir3 0.0000 0.7136 0.0000 (multiplicity 3)
Ir4 0.1307 0.4924 0.0000 (multiplicity 6)
Ir5 0.1807 0.8024 0.5000 (multiplicity 6)



[2]
# Ca4P7Ir8

Ca4P7Ir8 after structural relaxation (r²SCAN, the Materials Project).

Cell lengths 12.559, 3.958, 13.092 Å; angles 90.00, 98.92, 90.00 degrees
Space group P2_1/m (No. 11)
Inequivalent atoms, fractional coordinates:
Ca1 0.014 0.250 0.209 (multiplicity 2)
Ca2 0.216 0.750 0.606 (multiplicity 2)
Ca3 0.286 0.750 0.934 (multiplicity 2)
Ca4 0.397 0.750 0.292 (multiplicity 2)
P1 0.029 0.250 0.628 (multiplicity 2)
P2 0.110 0.250 0.938 (multiplicity 2)
P3 0.190 0.750 0.188 (multiplicity 2)
P4 0.241 0.250 0.420 (multiplicity 2)
P5 0.345 0.250 0.781 (multiplicity 2)
P6 0.409 0.250 0.088 (multiplicity 2)
P7 0.444 0.750 0.599 (multiplicity 2)
Ir1 0.054 0.250 0.451 (multiplicity 2)
Ir2 0.077 0.750 0.028 (multiplicity 2)
Ir3 0.161 0.750 0.358 (multiplicity 2)
Ir4 0.163 0.250 0.773 (multiplicity 2)
Ir5 0.229 0.250 0.104 (multiplicity 2)
Ir6 0.417 0.250 0.501 (multiplicity 2)
Ir7 0.439 0.750 0.774 (multiplicity 2)
Ir8 0.486 0.250 0.925 (multiplicity 2)



[3]
# Ca3Si4Ir4

Ca3Si4Ir4 after structural relaxation (r²SCAN, the Materials Project).

Cell lengths 7.432, 7.432, 7.432 Å; angles 90.00, 90.00, 90.00 degrees
Space group I-43m (No. 217)
Inequivalent atoms, fractional coordinates:
Ca1 0.000 0.000 0.500 (multiplicity 6)
Si1 0.183 0.183 0.817 (multiplicity 8)
Ir1 0.139 0.139 0.139 (multiplicity 8)



[4]
# Ca2SiIr2

Ca2SiIr2 after structural relaxation (r²SCAN, the Materials Project).

Cell lengths 9.692, 5.817, 7.312 Å; angles 90.00, 100.54, 90.00 degrees
Space group C2/c (No. 15)
Inequivalent atoms, fractional coordinates:
Ca1 0.146 0.131 0.139 (multiplicity 8)
Si1 0.000 0.435 0.750 (multiplicity 4)
Ir1 0.133 0.357 0.510 (multiplicity 8)



[5]
# CaSn2Ir

CaSn2Ir after structural relaxation (r²SCAN, the Materials Project).

Cell lengths 4.342, 10.842, 7.600 Å; angles 90.00, 90.00, 90.00 degrees
Space group Cmcm (No. 63)
Inequivalent atoms, fractional coordinates:
Ca1 0.000 0.068 0.250 (multiplicity 4)
Sn1 0.000 0.354 0.047 (multiplicity 8)
Ir1 0.000 0.211 0.750 (multiplicity 4)



[6]
# KNaCaMg5Si8O24

KNaCaMg5Si8O24 after structural relaxation (r²SCAN, the Materials Project).

Cell lengths 5.214, 10.078, 10.403 Å; angles 114.90, 97.41, 104.54 degrees
Space group P1 (No. 1)
Inequivalent atoms, fractional coordinates:
K1 0.000 0.000 0.000 (multiplicity 1)
Na1 0.721 0.212 0.432 (multiplicity 1)
Ca1 0.283 0.775 0.557 (multiplicity 1)
Mg1 0.098 0.592 0.191 (multiplicity 1)
Mg2 0.316 0.309 0.624 (multiplicity 1)
Mg3 0.499 0.491 0.990 (multiplicity 1)
Mg4 0.679 0.672 0.351 (multiplicity 1)
Mg5 0.898 0.391 0.788 (multiplicity 1)
Si1 0.153 0.951 0.336 (multiplicity 1)
Si2 0.192 0.378 0.336 (multiplicity 1)
Si3 0.386 0.679 0.821 (multiplicity 1)
Si4 0.445 0.135 0.822 (multiplicity 1)
Si5 0.558 0.849 0.161 (multiplicity 1)
Si6 0.613 0.305 0.162 (multiplicity 1)
Si7 0.804 0.607 0.647 (multiplicity 1)
Si8 0.853 0.034 0.648 (multiplicity 1)
O1 0.056 0.426 0.990 (multiplicity 1)
O2 0.069 0.787 0.342 (multiplicity 1)
O3 0.122 0.717 0.762 (multiplicity 1)
O4 0.132 0.012 0.725 (multiplicity 1)
O5 0.175 0.378 0.486 (multiplicity 1)
O6 0.282 0.548 0.342 (multiplicity 1)
O7 0.314 0.512 0.812 (multiplicity 1)
O8 0.319 0.101 0.485 (multiplicity 1)
O9 0.344 0.939 0.216 (multiplicity 1)
O10 0.391 0.282 0.254 (multiplicity 1)
O11 0.465 0.168 0.991 (multiplicity 1)
O12 0.493 0.690 0.170 (multiplicity 1)
O13 0.507 0.293 0.812 (multiplicity 1)
O14 0.536 0.816 0.991 (multiplicity 1)
O15 0.602 0.706 0.725 (multiplicity 1)
O16 0.651 0.038 0.763 (multiplicity 1)
O17 0.680 0.878 0.501 (multiplicity 1)
O18 0.685 0.473 0.170 (multiplicity 1)
O19 0.716 0.442 0.646 (multiplicity 1)
O20 0.830 0.616 0.501 (multiplicity 1)
O21 0.872 0.966 0.254 (multiplicity 1)
O22 0.882 0.271 0.217 (multiplicity 1)
O23 0.940 0.197 0.647 (multiplicity 1)
O24 0.943 0.557 0.990 (multiplicity 1)



[7]
# CaLa2S4

CaLa2S4 after structural relaxation (r²SCAN, the Materials Project).

Cell lengths 8.682, 8.682, 8.742 Å; angles 90.00, 90.00, 90.00 degrees
Space group I-42d (No. 122)
Inequivalent atoms, fractional coordinates:
Ca1 0.000 0.000 0.000 (multiplicity 4)
La1 0.131 0.750 0.625 (multiplicity 8)
S1 0.072 0.681 0.946 (multiplicity 16)



[8]
# CaLaSi4

CaLaSi4 after structural relaxation (r²SCAN, the Materials Project).

Cell lengths 4.375, 4.375, 13.398 Å; angles 90.00, 90.00, 90.00 degrees
Space group I-4m2 (No. 119)
Inequivalent atoms, fractional coordinates:
Ca1 0.000 0.000 0.000 (multiplicity 2)
La1 0.000 0.500 0.250 (multiplicity 2)
Si1 0.000 0.000 0.414 (multiplicity 4)
Si2 0.000 0.500 0.664 (multiplicity 4)



[9]
# CaLa2Te4

CaLa2Te4 after structural relaxation (r²SCAN, the Materials Project).

Cell lengths 9.663, 9.663, 9.797 Å; angles 90.00, 90.00, 90.00 degrees
Space group I-42d (No. 122)
Inequivalent atoms, fractional coordinates:
Ca1 0.000 0.000 0.000 (multiplicity 4)
La1 0.126 0.250 0.625 (multiplicity 8)
Te1 0.073 0.180 0.304 (multiplicity 16)



[10]
# CaLaZn2

CaLaZn2 after structural relaxation (r²SCAN, the Materials Project).

Cell lengths 7.422, 7.422, 7.422 Å; angles 90.00, 90.00, 90.00 degrees
Space group Fm-3m (No. 225)
Inequivalent atoms, fractional coordinates:
Ca1 0.000 0.000 0.000 (multiplicity 4)
La1 0.000 0.000 0.500 (multiplicity 4)
Zn1 0.250 0.250 0.250 (multiplicity 8)



[11]
# Li2Ca

Li2Ca after structural relaxation (r²SCAN, the Materials Project).

Computed properties:
Energy above the lowest structure with this stoichiometry in eV per atom: 0.0043

Cell lengths 8.790, 8.790, 8.790 Å; angles 90.00, 90.00, 90.00 degrees
Space group Fd-3m (No. 227, origin choice 2)
Inequivalent atoms, fractional coordinates:
Li1 0.000 0.000 0.000 (multiplicity 16)
Ca1 0.125 0.125 0.625 (multiplicity 8)



[12]
# Li2Ca

Li2Ca after structural relaxation (r²SCAN, the Materials Project).

Computed properties:
Energy above the lowest structure with this stoichiometry in eV per atom: 0.0000

Cell lengths 6.1933, 6.1933, 10.1837 Å; angles 90.00, 90.00, 120.00 degrees
Space group P6_3/mmc (No. 194)
Inequivalent atoms, fractional coordinates:
Li1 0.0000 0.0000 0.0000 (multiplicity 2)
Li2 0.1677 0.3355 0.2500 (multiplicity 6)
Ca1 0.3333 0.6667 0.5622 (multiplicity 4)



[13]
# LiCaN

LiCaN after structural relaxation (r²SCAN, the Materials Project).

Cell lengths 8.478, 3.648, 5.525 Å; angles 90.00, 90.00, 90.00 degrees
Space group Pnma (No. 62)
Inequivalent atoms, fractional coordinates:
Li1 0.047 0.250 0.075 (multiplicity 4)
Ca1 0.156 0.250 0.526 (multiplicity 4)
N1 0.092 0.750 0.239 (multiplicity 4)



[14]
# LiCaPb

LiCaPb after structural relaxation (r²SCAN, the Materials Project).

Cell lengths 4.9490, 4.9490, 10.9618 Å; angles 90.00, 90.00, 120.00 degrees
Space group P-6m2 (No. 187)
Inequivalent atoms, fractional coordinates:
Li1 0.0000 0.0000 0.0000 (multiplicity 1)
Li2 0.3333 0.6667 0.3045 (multiplicity 2)
Ca1 0.6667 0.3333 0.1665 (multiplicity 2)
Ca2 0.6667 0.3333 0.5000 (multiplicity 1)
Pb1 0.0000 0.0000 0.3484 (multiplicity 2)
Pb2 0.3333 0.6667 0.0000 (multiplicity 1)



[15]
# LiCaSb

LiCaSb after structural relaxation (r²SCAN, the Materials Project).

Cell lengths 7.658, 4.652, 8.300 Å; angles 90.00, 90.00, 90.00 degrees
Space group Pnma (No. 62)
Inequivalent atoms, fractional coordinates:
Li1 0.156 0.250 0.074 (multiplicity 4)
Ca1 0.009 0.250 0.705 (multiplicity 4)
Sb1 0.231 0.750 0.902 (multiplicity 4)



[16]
# LiCa2Si3

LiCa2Si3 after structural relaxation (r²SCAN, the Materials Project).

Cell lengths 10.498, 11.237, 4.377 Å; angles 90.00, 90.00, 90.00 degrees
Space group Pnnm (No. 58)
Inequivalent atoms, fractional coordinates:
Li1 0.139 0.217 0.000 (multiplicity 4)
Ca1 0.051 0.651 0.500 (multiplicity 4)
Ca2 0.178 0.926 0.000 (multiplicity 4)
Si1 0.035 0.098 0.500 (multiplicity 4)
Si2 0.108 0.461 0.000 (multiplicity 4)
Si3 0.245 0.633 0.000 (multiplicity 4)



[17]
# LiCaSn

LiCaSn after structural relaxation (r²SCAN, the Materials Project).

Cell lengths 4.9012, 4.9012, 10.8494 Å; angles 90.00, 90.00, 120.00 degrees
Space group P3m1 (No. 156)
Inequivalent atoms, fractional coordinates:
Li1 0.0000 0.0000 0.0000 (multiplicity 1)
Li2 0.0000 0.0000 0.3934 (multiplicity 1)
Li3 0.3333 0.6667 0.6911 (multiplicity 1)
Ca1 0.6667 0.3333 0.1962 (multiplicity 1)
Ca2 0.6667 0.3333 0.5285 (multiplicity 1)
Ca3 0.6667 0.3333 0.8623 (multiplicity 1)
Sn1 0.0000 0.0000 0.6954 (multiplicity 1)
Sn2 0.3333 0.6667 0.0516 (multiplicity 1)
Sn3 0.3333 0.6667 0.3414 (multiplicity 1)



[18]
# LiCa2Tl

LiCa2Tl after structural relaxation (r²SCAN, the Materials Project).

Cell lengths 7.685, 7.685, 7.685 Å; angles 90.00, 90.00, 90.00 degrees
Space group Fm-3m (No. 225)
Inequivalent atoms, fractional coordinates:
Li1 0.000 0.000 0.000 (multiplicity 4)
Ca1 0.250 0.250 0.250 (multiplicity 8)
Tl1 0.000 0.000 0.500 (multiplicity 4)



Formation energy readings, ordered: -0.80, -1.00, -0.97, -0.82, -0.64, -2.95, -2.47, -0.57, -1.87, -0.31, -0.02, -0.02, -0.80, -0.60, -1.11, -0.52, -0.64, -0.36 eV/atom